Entry from the Materials Project: a geometry-optimized NdCr2O2 structure (PBE with a Hubbard U).

Cell and atoms, written as POSCAR:
```
NdCr2O2
1.0
-4.4389 4.4389 4.9752
4.4389 -4.4389 4.9752
4.4389 4.4389 -4.9752
Nd Cr O
4 8 8
Cartesian
0.0000 0.0000 0.0000
2.2195 2.2195 -2.4876
2.2195 -2.2195 2.4876
0.0000 4.4389 0.0000
4.4389 -0.5113 1.3155
4.4389 3.9277 -1.3155
1.7082 2.2195 1.1721
2.7308 -2.2195 6.1473
1.7082 6.6584 -1.1721
2.7308 2.2195 3.8032
0.0000 0.5113 6.2908
0.0000 4.9502 3.6597
3.0049 2.2195 -0.3672
5.8730 2.2195 -0.3672
0.0000 0.7854 2.1204
4.4389 0.7854 2.8548
0.0000 3.6535 2.1204
4.4389 3.6535 2.8548
-1.4341 2.2195 5.3424
1.4341 2.2195 5.3424
```

Properties
The total energy is -6.71 eV per atom.